A plane-wave DFT calculation with PBE was carried out for a relaxed GdB3O6 crystal.

Cell: 16.1716 7.4814 12.4152 Å, 90.00 90.00 90.00°
Sites, in units of the cell vectors:
1 Gd 0.0480 0.2500 0.0876
2 Gd 0.1204 0.7500 0.5073
3 Gd 0.1275 0.7500 0.2294
4 Gd 0.1717 0.2500 0.4330
5 Gd 0.3283 0.7500 0.9330
6 Gd 0.3725 0.2500 0.7294
7 Gd 0.3796 0.2500 0.0073
8 Gd 0.4520 0.7500 0.5876
9 Gd 0.5480 0.2500 0.4124
10 Gd 0.6204 0.7500 0.9927
11 Gd 0.6275 0.7500 0.2706
12 Gd 0.6717 0.2500 0.0670
13 Gd 0.8283 0.7500 0.5670
14 Gd 0.8725 0.2500 0.7706
15 Gd 0.8796 0.2500 0.4927
16 Gd 0.9520 0.7500 0.9124
17 B 0.0301 0.0613 0.3208
18 B 0.0301 0.4387 0.3208
19 B 0.0581 0.0733 0.8455
20 B 0.0581 0.4267 0.8455
21 B 0.1103 0.0771 0.6445
22 B 0.1103 0.4229 0.6445
23 B 0.1538 0.5764 0.9825
24 B 0.1538 0.9236 0.9825
25 B 0.2172 0.0705 0.8138
26 B 0.2172 0.4295 0.8138
27 B 0.2428 0.0689 0.1293
28 B 0.2428 0.4311 0.1293
29 B 0.2572 0.5689 0.6293
30 B 0.2572 0.9311 0.6293
31 B 0.2828 0.5705 0.3137
32 B 0.2828 0.9295 0.3137
33 B 0.3462 0.0764 0.4825
34 B 0.3462 0.4236 0.4825
35 B 0.3897 0.5771 0.1445
36 B 0.3897 0.9229 0.1445
37 B 0.4419 0.5733 0.3455
38 B 0.4419 0.9267 0.3455
39 B 0.4699 0.5613 0.8208
40 B 0.4699 0.9387 0.8208
41 B 0.5301 0.0613 0.1792
42 B 0.5301 0.4387 0.1792
43 B 0.5581 0.0733 0.6545
44 B 0.5581 0.4267 0.6545
45 B 0.6103 0.0771 0.8555
46 B 0.6103 0.4229 0.8555
47 B 0.6538 0.5764 0.5175
48 B 0.6538 0.9236 0.5175
49 B 0.7172 0.0705 0.6862
50 B 0.7172 0.4295 0.6862
51 B 0.7428 0.0689 0.3707
52 B 0.7428 0.4311 0.3707
53 B 0.7572 0.5689 0.8707
54 B 0.7572 0.9311 0.8707
55 B 0.7828 0.5705 0.1862
56 B 0.7828 0.9295 0.1862
57 B 0.8462 0.0764 0.0175
58 B 0.8462 0.4236 0.0175
59 B 0.8897 0.5771 0.3555
60 B 0.8897 0.9229 0.3555
61 B 0.9419 0.5733 0.1545
62 B 0.9419 0.9267 0.1545
63 B 0.9699 0.5613 0.6792
64 B 0.9699 0.9387 0.6792
65 O 0.0195 0.5195 0.2087
66 O 0.0195 0.9805 0.2087
67 O 0.0483 0.2500 0.8955
68 O 0.0491 0.5628 0.6237
69 O 0.0491 0.9372 0.6237
70 O 0.0627 0.2500 0.3025
71 O 0.0712 0.5549 0.9326
72 O 0.0712 0.9451 0.9326
73 O 0.0793 0.2500 0.6079
74 O 0.0946 0.5389 0.3754
75 O 0.0946 0.9611 0.3754
76 O 0.1294 0.0732 0.7658
77 O 0.1294 0.4268 0.7658
78 O 0.1600 0.7500 0.0378
79 O 0.1656 0.0624 0.0658
80 O 0.1656 0.4376 0.0658
81 O 0.1850 0.0337 0.5795
82 O 0.1850 0.4663 0.5795
83 O 0.2181 0.5612 0.8992
84 O 0.2181 0.9388 0.8992
85 O 0.2244 0.5174 0.2312
86 O 0.2244 0.9826 0.2312
87 O 0.2250 0.7500 0.6382
88 O 0.2449 0.2500 0.8531
89 O 0.2551 0.7500 0.3531
90 O 0.2750 0.2500 0.1382
91 O 0.2756 0.0174 0.7312
92 O 0.2756 0.4826 0.7312
93 O 0.2819 0.0612 0.3992
94 O 0.2819 0.4388 0.3992
95 O 0.3150 0.5337 0.0795
96 O 0.3150 0.9663 0.0795
97 O 0.3344 0.5624 0.5658
98 O 0.3344 0.9376 0.5658
99 O 0.3400 0.2500 0.5378
100 O 0.3706 0.5732 0.2658
101 O 0.3706 0.9268 0.2658
102 O 0.4054 0.0389 0.8754
103 O 0.4054 0.4611 0.8754
104 O 0.4207 0.7500 0.1079
105 O 0.4288 0.0549 0.4326
106 O 0.4288 0.4451 0.4326
107 O 0.4373 0.7500 0.8025
108 O 0.4509 0.0628 0.1237
109 O 0.4509 0.4372 0.1237
110 O 0.4517 0.7500 0.3955
111 O 0.4805 0.0195 0.7087
112 O 0.4805 0.4805 0.7087
113 O 0.5195 0.5195 0.2913
114 O 0.5195 0.9805 0.2913
115 O 0.5483 0.2500 0.6045
116 O 0.5491 0.5628 0.8763
117 O 0.5491 0.9372 0.8763
118 O 0.5627 0.2500 0.1975
119 O 0.5712 0.5549 0.5674
120 O 0.5712 0.9451 0.5674
121 O 0.5793 0.2500 0.8921
122 O 0.5946 0.5389 0.1246
123 O 0.5946 0.9611 0.1246
124 O 0.6294 0.0732 0.7342
125 O 0.6294 0.4268 0.7342
126 O 0.6600 0.7500 0.4622
127 O 0.6656 0.0624 0.4342
128 O 0.6656 0.4376 0.4342
129 O 0.6850 0.0337 0.9205
130 O 0.6850 0.4663 0.9205
131 O 0.7181 0.5612 0.6008
132 O 0.7181 0.9388 0.6008
133 O 0.7244 0.5174 0.2688
134 O 0.7244 0.9826 0.2688
135 O 0.7250 0.7500 0.8618
136 O 0.7449 0.2500 0.6469
137 O 0.7551 0.7500 0.1469
138 O 0.7750 0.2500 0.3618
139 O 0.7756 0.0174 0.7688
140 O 0.7756 0.4826 0.7688
141 O 0.7819 0.0612 0.1008
142 O 0.7819 0.4388 0.1008
143 O 0.8150 0.5337 0.4205
144 O 0.8150 0.9663 0.4205
145 O 0.8344 0.5624 0.9342
146 O 0.8344 0.9376 0.9342
147 O 0.8400 0.2500 0.9622
148 O 0.8706 0.5732 0.2342
149 O 0.8706 0.9268 0.2342
150 O 0.9054 0.0389 0.6246
151 O 0.9054 0.4611 0.6246
152 O 0.9207 0.7500 0.3921
153 O 0.9288 0.0549 0.0674
154 O 0.9288 0.4451 0.0674
155 O 0.9373 0.7500 0.6975
156 O 0.9509 0.0628 0.3763
157 O 0.9509 0.4372 0.3763
158 O 0.9517 0.7500 0.1045
159 O 0.9805 0.0195 0.7913
160 O 0.9805 0.4805 0.7913

Results
Energy relative to the elements: -3.18 eV/atom